1.
{"formula": "LiFe2OF3", "functional": "GGA+U", "state": "relaxed", "lattice_angstrom": [[4.0178, 2.8120, 1.7372], [-3.4003, 1.9201, 4.7033], [-0.0630, -3.1940, 5.2664]], "species": ["Li", "Li", "Fe", "Fe", "Fe", "Fe", "O", "O", "F", "F", "F", "F", "F", "F"], "fractional_positions": [[0.0266, 0.6657, 0.6694], [0.9734, 0.3343, 0.3306], [0.5001, 0.4999, 0.0002], [0.9998, 0.0000, 0.0001], [0.5000, 0.4999, 0.5000], [0.5002, 0.0001, 0.4999], [0.6635, 0.6642, 0.6700], [0.3365, 0.3358, 0.3299], [0.7821, 0.1753, 0.6502], [0.2179, 0.8248, 0.3498], [0.2153, 0.3362, 0.8293], [0.2180, 0.8309, 0.8265], [0.7846, 0.6639, 0.1706], [0.7819, 0.1692, 0.1734]], "ef_ev_per_atom": -2.40, "total_energy_ev_per_cell": -79.55}

---

2.
{"formula": "Ba2UFeO6", "functional": "GGA+U", "state": "relaxed", "lattice_angstrom": [[0.0000, 4.2259, 4.2259], [4.2259, 0.0000, 4.2259], [4.2259, 4.2259, 0.0000]], "species": ["Ba", "Ba", "U", "Fe", "O", "O", "O", "O", "O", "O"], "fractional_positions": [[0.7500, 0.7500, 0.7500], [0.2500, 0.2500, 0.2500], [0.5000, 0.5000, 0.5000], [0.0000, 0.0000, 0.0000], [0.2449, 0.2449, 0.7551], [0.2449, 0.7551, 0.7551], [0.7551, 0.2449, 0.2449], [0.2449, 0.7551, 0.2449], [0.7551, 0.2449, 0.7551], [0.7551, 0.7551, 0.2449]], "ef_ev_per_atom": -3.11, "total_energy_ev_per_cell": -78.01}

---

3.
{"formula": "Li2Ni3P4O14", "functional": "GGA+U", "state": "relaxed", "lattice_angstrom": [[6.5967, 2.2827, -0.0832], [1.2819, 6.7718, 5.3471], [0.5813, -3.6990, 8.7597]], "species": ["Li", "Li", "Li", "Li", "Ni", "Ni", "Ni", "Ni", "Ni", "Ni", "P", "P", "P", "P", "P", "P", "P", "P", "O", "O", "O", "O", "O", "O", "O", "O", "O", "O", "O", "O", "O", "O", "O", "O", "O", "O", "O", "O", "O", "O", "O", "O", "O", "O", "O", "O"], "fractional_positions": [[0.0051, 0.0099, 0.6783], [0.0050, 0.5099, 0.1784], [0.9950, 0.4900, 0.8217], [0.9950, 0.9899, 0.3216], [0.9997, 0.5002, 0.5000], [0.4875, 0.3281, 0.9983], [0.5124, 0.6720, 0.0016], [0.0001, 0.9999, 0.9999], [0.4876, 0.8283, 0.4983], [0.5127, 0.1720, 0.5019], [0.7199, 0.8565, 0.7964], [0.7200, 0.3565, 0.2964], [0.2801, 0.6435, 0.7036], [0.2800, 0.1435, 0.2036], [0.2964, 0.1512, 0.7867], [0.2964, 0.6512, 0.2867], [0.7036, 0.3488, 0.7133], [0.7035, 0.8488, 0.2133], [0.2675, 0.2350, 0.6161], [0.2675, 0.7350, 0.1161], [0.7325, 0.2649, 0.8839], [0.7325, 0.7649, 0.3839], [0.6551, 0.9134, 0.6242], [0.6551, 0.4134, 0.1242], [0.3450, 0.5866, 0.8757], [0.3449, 0.0867, 0.3757], [0.2887, 0.7798, 0.3689], [0.2886, 0.2798, 0.8689], [0.7113, 0.7202, 0.1311], [0.7114, 0.2201, 0.6312], [0.9156, 0.8786, 0.8495], [0.9155, 0.3786, 0.3496], [0.0844, 0.6214, 0.6504], [0.0844, 0.1214, 0.1504], [0.5290, 0.9892, 0.8498], [0.5290, 0.4892, 0.3498], [0.4710, 0.5108, 0.6502], [0.4710, 0.0108, 0.1502], [0.2681, 0.8286, 0.6338], [0.2680, 0.3286, 0.1338], [0.7319, 0.6714, 0.8662], [0.7320, 0.1714, 0.3662], [0.8523, 0.4367, 0.6711], [0.8522, 0.9367, 0.1710], [0.1477, 0.0633, 0.8289], [0.1477, 0.5633, 0.3290]], "ef_ev_per_atom": -2.34, "total_energy_ev_per_cell": -297.50}